# 1
Material: BaGa2Se4
Method: DFT, meta-GGA r2SCAN
State: optimized geometry

As for the space group: No. 66. The value obtained for the formation energy is -1.263 eV/atom.

Cell: 6.5294 6.5294 11.5065 Å, 90.00 90.00 122.29°
Last column: nearest neighbours and their distance in Å.
Sites, in units of the cell vectors:
Ba1 0.0000 0.0000 0.2500  8 Se 3.40-3.42
Ba2 0.0000 0.0000 0.7500  8 Se 3.40-3.42
Ga1 0.2571 0.7411 0.0000  4 Se 2.40-2.45
Ga2 0.2589 0.7429 0.5000  4 Se 2.40-2.45
Ga3 0.7411 0.2571 0.5000  4 Se 2.40-2.45
Ga4 0.7429 0.2589 0.0000  4 Se 2.40-2.45
Se1 0.0000 0.5000 0.1605  2 Ga 2.43
Se2 0.0000 0.5000 0.8395  2 Ga 2.43
Se3 0.1492 0.3280 0.5000  2 Ga 2.40-2.45
Se4 0.3280 0.1492 0.0000  2 Ga 2.40-2.45
Se5 0.5000 0.0000 0.3395  2 Ga 2.43
Se6 0.5000 0.0000 0.6605  2 Ga 2.43
Se7 0.6720 0.8508 0.0000  2 Ga 2.40-2.45
Se8 0.8508 0.6720 0.5000  2 Ga 2.40-2.45

---

# 2
Material: ErGa3
Method: DFT, meta-GGA r2SCAN
State: optimized geometry

As for the space group: No. 221. The value obtained for the formation energy is -0.538 eV/atom.

Cell: 4.2118 4.2118 4.2118 Å, 90.00 90.00 90.00°
Last column: nearest neighbours and their distance in Å.
Sites, in units of the cell vectors:
Er1 0.0000 0.0000 0.0000  12 Ga 2.98
Ga1 0.0000 0.5000 0.5000  4 Er 2.98, 8 Ga 2.98
Ga2 0.5000 0.0000 0.5000  4 Er 2.98, 8 Ga 2.98
Ga3 0.5000 0.5000 0.0000  4 Er 2.98, 8 Ga 2.98

---

# 3
Material: KCu4Sb2
Method: DFT, meta-GGA r2SCAN
State: optimized geometry

As for the space group: No. 166. The value obtained for the formation energy is -0.161 eV/atom.

Cell: 9.4702 9.4702 9.4702 Å, 26.02 26.02 26.02°
Last column: nearest neighbours and their distance in Å.
Sites, in units of the cell vectors:
K1 0.0000 0.0000 0.0000  6 Sb 3.53
Cu1 0.1442 0.1442 0.1442  6 Cu 2.55-2.75, 4 Sb 2.67-2.85
Cu2 0.4539 0.4539 0.4539  4 Cu 2.53-2.55, 3 Sb 2.58
Cu3 0.5461 0.5461 0.5461  4 Cu 2.53-2.55, 3 Sb 2.58
Cu4 0.8558 0.8558 0.8558  6 Cu 2.55-2.75, 4 Sb 2.67-2.85
Sb1 0.2413 0.2413 0.2413  7 Cu 2.58-2.85
Sb2 0.7587 0.7587 0.7587  7 Cu 2.58-2.85

---

# 4
Material: SiO2
Method: DFT, meta-GGA r2SCAN
State: optimized geometry

As for the space group: No. 11. The value obtained for the formation energy is -3.021 eV/atom.

Cell: 7.4146 19.5303 9.7459 Å, 90.00 98.84 90.00°
Last column: nearest neighbours and their distance in Å.
Sites, in units of the cell vectors:
Si1 0.0333 0.1705 0.3849  4 O 1.61
Si2 0.0333 0.3295 0.3849  4 O 1.61
Si3 0.0933 0.5552 0.8308  4 O 1.60-1.61
Si4 0.0933 0.9448 0.8308  4 O 1.60-1.61
Si5 0.1918 0.5577 0.1547  4 O 1.60-1.62
Si6 0.1918 0.9423 0.1547  4 O 1.60-1.62
Si7 0.2083 0.6707 0.3794  4 O 1.61
Si8 0.2083 0.8293 0.3794  4 O 1.61
Si9 0.4216 0.1073 0.4750  4 O 1.60-1.62
Si10 0.4216 0.3927 0.4750  4 O 1.60-1.62
Si11 0.4378 0.0013 0.7143  4 O 1.60-1.62
Si12 0.4378 0.4987 0.7143  4 O 1.60-1.62
Si13 0.5622 0.5013 0.2857  4 O 1.60-1.62
Si14 0.5622 0.9987 0.2857  4 O 1.60-1.62
Si15 0.5784 0.6073 0.5250  4 O 1.60-1.62
Si16 0.5784 0.8927 0.5250  4 O 1.60-1.62
Si17 0.7917 0.1707 0.6206  4 O 1.61
Si18 0.7917 0.3293 0.6206  4 O 1.61
Si19 0.8082 0.0577 0.8453  4 O 1.60-1.62
Si20 0.8082 0.4423 0.8453  4 O 1.60-1.62
Si21 0.9067 0.0552 0.1692  4 O 1.60-1.61
Si22 0.9067 0.4448 0.1692  4 O 1.60-1.61
Si23 0.9667 0.6705 0.6151  4 O 1.61
Si24 0.9667 0.8295 0.6151  4 O 1.61
O1 0.0047 0.2500 0.3441  2 Si 1.61
O2 0.0582 0.6254 0.7453  2 Si 1.60-1.61
O3 0.0582 0.8746 0.7453  2 Si 1.60-1.61
O4 0.0647 0.6527 0.4827  2 Si 1.61
O5 0.0647 0.8473 0.4827  2 Si 1.61
O6 0.0813 0.0057 0.2085  2 Si 1.61-1.62
O7 0.0813 0.4943 0.2085  2 Si 1.61-1.62
O8 0.1212 0.5729 0.9938  2 Si 1.60-1.61
O9 0.1212 0.9271 0.9938  2 Si 1.60-1.61
O10 0.1593 0.6253 0.2414  2 Si 1.61
O11 0.1593 0.8747 0.2414  2 Si 1.61
O12 0.1920 0.7500 0.3356  2 Si 1.61
O13 0.2481 0.1546 0.4220  2 Si 1.60-1.61
O14 0.2481 0.3454 0.4220  2 Si 1.60-1.61
O15 0.2714 0.5167 0.7947  2 Si 1.60-1.61
O16 0.2714 0.9833 0.7947  2 Si 1.60-1.61
O17 0.3685 0.0521 0.5860  2 Si 1.62
O18 0.3685 0.4479 0.5860  2 Si 1.62
O19 0.4059 0.5383 0.1776  2 Si 1.61
O20 0.4059 0.9617 0.1776  2 Si 1.61
O21 0.4138 0.6553 0.4538  2 Si 1.61
O22 0.4138 0.8447 0.4538  2 Si 1.61
O23 0.4832 0.0681 0.3441  2 Si 1.61
O24 0.4832 0.4319 0.3441  2 Si 1.61
O25 0.5168 0.5681 0.6559  2 Si 1.61
O26 0.5168 0.9319 0.6559  2 Si 1.61
O27 0.5862 0.1553 0.5462  2 Si 1.61
O28 0.5862 0.3447 0.5462  2 Si 1.61
O29 0.5941 0.0383 0.8224  2 Si 1.61
O30 0.5941 0.4617 0.8224  2 Si 1.61
O31 0.6315 0.5521 0.4140  2 Si 1.62
O32 0.6315 0.9479 0.4140  2 Si 1.62
O33 0.7286 0.0167 0.2053  2 Si 1.60-1.61
O34 0.7286 0.4833 0.2053  2 Si 1.60-1.61
O35 0.7519 0.6546 0.5780  2 Si 1.60-1.61
O36 0.7519 0.8454 0.5780  2 Si 1.60-1.61
O37 0.8080 0.2500 0.6644  2 Si 1.61
O38 0.8407 0.1253 0.7586  2 Si 1.61
O39 0.8407 0.3747 0.7586  2 Si 1.61
O40 0.8788 0.0729 0.0062  2 Si 1.60-1.61
O41 0.8788 0.4271 0.0062  2 Si 1.60-1.61
O42 0.9187 0.5057 0.7915  2 Si 1.61-1.62
O43 0.9187 0.9943 0.7915  2 Si 1.61-1.62
O44 0.9353 0.1527 0.5173  2 Si 1.61
O45 0.9353 0.3473 0.5173  2 Si 1.61
O46 0.9418 0.1254 0.2547  2 Si 1.60-1.61
O47 0.9418 0.3746 0.2547  2 Si 1.60-1.61
O48 0.9953 0.7500 0.6559  2 Si 1.61

---

Computed mass density, in the same sequence as the records: 4.7, 8.4, 6.2, 1.7 g cm⁻³.
Computed DFT total energy, in the same sequence as the records: -16.496, -17.602, -14.564, -9.927 eV/atom.